The following is a DFT calculation (PBE) of a relaxed KEuNbInO6 crystal.

## Properties
Its total magnetization is 6.0 μB per cell. As for the calculated formation energy: -25.68 eV per formula unit. For the energy with MP2020 corrections, the calculation gives -7.96 eV per atom. As for the space group: F-43m.

Lattice parameters (Å, degrees): 5.8185 5.8185 5.8185 60.00 60.00 60.00
Closest atoms and distances in Å follow each position.
Fractional coordinates of all 10 atoms:
O (0.2583, 0.2583, 0.7417)  1 Nb 1.99, 1 In 2.13
O (0.2583, 0.7417, 0.2583)  1 Nb 1.99, 1 In 2.13
O (0.7417, 0.7417, 0.2583)  1 Nb 1.99, 1 In 2.13
O (0.2583, 0.7417, 0.7417)  1 Nb 1.99, 1 In 2.13
O (0.7417, 0.2583, 0.2583)  1 Nb 1.99, 1 In 2.13
O (0.7417, 0.2583, 0.7417)  1 Nb 1.99, 1 In 2.13
In (0.0000, 0.0000, 0.0000)  6 O 2.13
K (0.7500, 0.7500, 0.7500)  12 O 2.91
Nb (0.5000, 0.5000, 0.5000)  6 O 1.99
Eu (0.2500, 0.2500, 0.2500)  12 O 2.91

---

The following is a DFT calculation (PBE) of a relaxed Na2Sn2H4O5 crystal.

## Properties
Its total magnetization is 0.0 μB per cell. As for the calculated formation energy: -19.80 eV per formula unit. For the energy with MP2020 corrections, the calculation gives -5.29 eV per atom. As for the space group: P2_12_12_1.

Lattice parameters (Å, degrees): 5.9608 14.6783 17.2091 90.00 90.00 90.00
Closest atoms and distances in Å follow each position.
Fractional coordinates of all 104 atoms:
Na (0.2693, 0.4393, 0.5140)  2 H 2.33-2.53, 5 O 2.35-2.58
Na (0.7693, 0.0607, 0.4860)  2 H 2.33-2.53, 5 O 2.35-2.58
Na (0.2620, 0.1904, 0.5196)  4 O 2.36-2.47
Na (0.7486, 0.5761, 0.5362)  2 H 2.35-2.51, 5 O 2.35-2.57
Na (0.7307, 0.9393, 0.9860)  2 H 2.33-2.53, 5 O 2.35-2.58
Na (0.7649, 0.8045, 0.4693)  5 O 2.35-2.63, 2 H 2.42-2.48
Na (0.7620, 0.3096, 0.4804)  4 O 2.36-2.47
Na (0.2649, 0.6955, 0.5307)  5 O 2.35-2.63, 2 H 2.42-2.48
Na (0.2486, 0.9239, 0.4638)  2 H 2.35-2.51, 5 O 2.35-2.57
Na (0.2380, 0.8096, 0.0196)  4 O 2.36-2.47
Na (0.7351, 0.1955, 0.9693)  5 O 2.35-2.63, 2 H 2.42-2.48
Na (0.2307, 0.5607, 0.0140)  2 H 2.33-2.53, 5 O 2.35-2.58
Na (0.7380, 0.6904, 0.9804)  4 O 2.36-2.47
Na (0.2514, 0.0761, 0.9638)  2 H 2.35-2.51, 5 O 2.35-2.57
Na (0.7514, 0.4239, 0.0362)  2 H 2.35-2.51, 5 O 2.35-2.57
Na (0.2351, 0.3045, 0.0307)  5 O 2.35-2.63, 2 H 2.42-2.48
O (0.5467, 0.4493, 0.6117)  1 H 0.97
O (0.5641, 0.2474, 0.5941)  1 H 0.98
O (0.5356, 0.1731, 0.4129)  1 H 0.98
O (0.9197, 0.7331, 0.5987)  1 H 0.98
O (0.0986, 0.5341, 0.6156)  1 H 0.98
O (0.4677, 0.5697, 0.4405)  1 H 0.98
O (0.9644, 0.8269, 0.9129)  1 H 0.98
O (0.6061, 0.5275, 0.9295)  1 H 0.98
O (0.4944, 0.8354, 0.5762)  1 H 0.99
O (0.9359, 0.7526, 0.0941)  1 H 0.98
O (0.3939, 0.0275, 0.5705)  1 H 0.98
O (0.5323, 0.0697, 0.0595)  1 H 0.98
O (0.4197, 0.7669, 0.4013)  1 H 0.98
O (0.0323, 0.4303, 0.9405)  1 H 0.98
O (0.5986, 0.9659, 0.3844)  1 H 0.98
O (0.4359, 0.7474, 0.9059)  1 H 0.98
O (0.0062, 0.8544, 0.3698)  2 Sn 2.05-2.06
O (0.0056, 0.1646, 0.0762)  1 H 0.99
O (0.9550, 0.1271, 0.5923)  2 Sn 2.07-2.08
O (0.5803, 0.2669, 0.0987)  1 H 0.98
O (0.4533, 0.9493, 0.8883)  1 H 0.97
O (0.4938, 0.1456, 0.8698)  2 Sn 2.05-2.06
O (0.5062, 0.6456, 0.6302)  2 Sn 2.05-2.06
O (0.0356, 0.3269, 0.5871)  1 H 0.98
O (0.9533, 0.5507, 0.1117)  1 H 0.97
O (0.5056, 0.3354, 0.9238)  1 H 0.99
O (0.4014, 0.4659, 0.1156)  1 H 0.98
O (0.5450, 0.8729, 0.0923)  2 Sn 2.07-2.08
O (0.9938, 0.3544, 0.1302)  2 Sn 2.05-2.06
O (0.0803, 0.2331, 0.9013)  1 H 0.98
O (0.8939, 0.4725, 0.4295)  1 H 0.98
O (0.0467, 0.0507, 0.3883)  1 H 0.97
O (0.4644, 0.6731, 0.0871)  1 H 0.98
O (0.9677, 0.9303, 0.5595)  1 H 0.98
O (0.1061, 0.9725, 0.0705)  1 H 0.98
O (0.9944, 0.6646, 0.4238)  1 H 0.99
O (0.0641, 0.2526, 0.4059)  1 H 0.98
O (0.0450, 0.6271, 0.9077)  2 Sn 2.07-2.08
O (0.4550, 0.3729, 0.4077)  2 Sn 2.07-2.08
O (0.9014, 0.0341, 0.8844)  1 H 0.98
H (0.9666, 0.0936, 0.8708)  1 O 0.98
H (0.5334, 0.9064, 0.3708)  1 O 0.98
H (0.4984, 0.2093, 0.1003)  1 O 0.98
H (0.9900, 0.1977, 0.3859)  1 O 0.98
H (0.5100, 0.8023, 0.8859)  1 O 0.98
H (0.9984, 0.2907, 0.8997)  1 O 0.98
H (0.6801, 0.0878, 0.0786)  1 O 0.98
H (0.5368, 0.3999, 0.9123)  1 O 0.99
H (0.9912, 0.9424, 0.1019)  1 O 0.98
H (0.4912, 0.5576, 0.8981)  1 O 0.98
H (0.4632, 0.8999, 0.5877)  1 O 0.99
H (0.6971, 0.4367, 0.6309)  1 O 0.97
H (0.9467, 0.8834, 0.8836)  1 O 0.98
H (0.0368, 0.1001, 0.0877)  1 O 0.99
H (0.5088, 0.0576, 0.6019)  1 O 0.98
H (0.0100, 0.6977, 0.1141)  1 O 0.98
H (0.5016, 0.7093, 0.3997)  1 O 0.98
H (0.0088, 0.4424, 0.3981)  1 O 0.98
H (0.1971, 0.0633, 0.3691)  1 O 0.97
H (0.0016, 0.7907, 0.6003)  1 O 0.98
H (0.4900, 0.3023, 0.6141)  1 O 0.98
H (0.4666, 0.4064, 0.1292)  1 O 0.98
H (0.3199, 0.5878, 0.4214)  1 O 0.98
H (0.4467, 0.6166, 0.1164)  1 O 0.98
H (0.9632, 0.6001, 0.4123)  1 O 0.99
H (0.0334, 0.5936, 0.6292)  1 O 0.98
H (0.8199, 0.9122, 0.5786)  1 O 0.98
H (0.3029, 0.9367, 0.8691)  1 O 0.97
H (0.1801, 0.4122, 0.9214)  1 O 0.98
H (0.0533, 0.3834, 0.6164)  1 O 0.98
H (0.5533, 0.1166, 0.3836)  1 O 0.98
H (0.8029, 0.5633, 0.1309)  1 O 0.97
Sn (0.6388, 0.7636, 0.6739)  3 O 2.05-2.16
Sn (0.1388, 0.7364, 0.3261)  3 O 2.05-2.16
Sn (0.8559, 0.2342, 0.6631)  3 O 2.07-2.17
Sn (0.1441, 0.7342, 0.8369)  3 O 2.07-2.17
Sn (0.3924, 0.9822, 0.1477)  3 O 2.08-2.17
Sn (0.8834, 0.9630, 0.3070)  3 O 2.06-2.16
Sn (0.1076, 0.0178, 0.6477)  3 O 2.08-2.17
Sn (0.3834, 0.5370, 0.6930)  3 O 2.06-2.16
Sn (0.3559, 0.2658, 0.3369)  3 O 2.07-2.17
Sn (0.1166, 0.4630, 0.1930)  3 O 2.06-2.16
Sn (0.6441, 0.7658, 0.1631)  3 O 2.07-2.17
Sn (0.8612, 0.2364, 0.1739)  3 O 2.05-2.16
Sn (0.6076, 0.4822, 0.3523)  3 O 2.08-2.17
Sn (0.8924, 0.5178, 0.8523)  3 O 2.08-2.17
Sn (0.6166, 0.0370, 0.8070)  3 O 2.06-2.16
Sn (0.3612, 0.2636, 0.8261)  3 O 2.05-2.16